Ba2HoMgNbO6 after structural relaxation. Source: the Materials Project, functional PBE-GGA.

## Properties
Calculated density = 6.1 g cm⁻³
Energy above the most stable polymorph in this dataset = 60 meV per atom
ΔH_f (0 K) = -2.788 eV/atom
Space-group type = Cm, No. 8
VASP energy = -6.942 eV per atom

Unit cell a=6.019 b=6.019 c=6.668 alpha=63.02 beta=63.02 gamma=59.91
Fractional positions:
O 0.772 0.259 0.198
O 0.259 0.772 0.198
O 0.771 0.771 0.198
Ba 0.194 0.194 0.420
O 0.746 0.255 0.743
O 0.255 0.746 0.743
O 0.256 0.256 0.742
Nb 0.999 0.999 0.001
Mg 0.364 0.364 0.906
Ba 0.734 0.734 0.797
Ho 0.526 0.526 0.420